Below is a relaxed structure of Li8Mn7FeB8O24, with properties calculated at the PBE with a Hubbard U level.

## Properties
* calculated total energy: -7.268 eV per atom
* energy with MP2020 corrections: -7.9021 eV per atom
* energy of formation from the pure elements: -2484.1 meV per atom
* total moment: 39.00 μB/f.u.

Cell lengths 5.240, 6.076, 16.323 Å; angles 82.35, 88.85, 89.24 degrees
Fractional coordinates of all 48 atoms:
Li1 0.000 0.000 0.000
Li2 0.000 0.498 0.501
Li3 0.195 0.375 0.031
Li4 0.196 0.875 0.533
Li5 0.500 0.248 0.251
Li6 0.500 0.747 0.752
Li7 0.697 0.124 0.783
Li8 0.697 0.625 0.283
Mn1 0.016 0.085 0.182
Mn2 0.017 0.583 0.683
Mn3 0.180 0.787 0.352
Mn4 0.515 0.834 0.932
Mn5 0.516 0.335 0.432
Mn6 0.680 0.036 0.602
Mn7 0.681 0.538 0.102
Fe1 0.188 0.288 0.851
B1 0.019 0.276 0.344
B2 0.019 0.774 0.845
B3 0.178 0.597 0.190
B4 0.179 0.096 0.691
B5 0.518 0.027 0.094
B6 0.519 0.526 0.594
B7 0.678 0.349 0.939
B8 0.678 0.847 0.440
O1 0.030 0.731 0.236
O2 0.032 0.230 0.739
O3 0.060 0.983 0.634
O4 0.062 0.481 0.133
O5 0.136 0.392 0.400
O6 0.136 0.890 0.901
O7 0.167 0.141 0.298
O8 0.167 0.639 0.798
O9 0.258 0.049 0.080
O10 0.258 0.549 0.581
O11 0.438 0.574 0.203
O12 0.440 0.074 0.704
O13 0.529 0.982 0.486
O14 0.533 0.481 0.987
O15 0.554 0.237 0.882
O16 0.561 0.731 0.384
O17 0.635 0.142 0.150
O18 0.637 0.642 0.651
O19 0.666 0.391 0.548
O20 0.666 0.892 0.047
O21 0.759 0.298 0.331
O22 0.759 0.798 0.831
O23 0.938 0.323 0.950
O24 0.938 0.825 0.453